Record 1
MgMn6O8F4 (PBE+U, relaxed); offset from the most stable computed form = 144 kJ/mol of formula units
1.0
5.139 0.000 0.000
0.000 8.732 0.000
-0.662 0.000 5.152
Mg Mn O F
1 6 8 4
direct
0.000 0.000 0.000 Mg
0.010 0.173 0.512 Mn
0.010 0.827 0.512 Mn
0.015 0.500 0.526 Mn
0.543 0.000 0.270 Mn
0.587 0.335 0.964 Mn
0.587 0.665 0.964 Mn
0.191 0.000 0.368 O
0.364 0.500 0.833 O
0.762 0.500 0.173 O
0.770 0.167 0.152 O
0.770 0.833 0.152 O
0.815 0.000 0.638 O
0.836 0.335 0.667 O
0.836 0.665 0.667 O
0.227 0.334 0.384 F
0.227 0.666 0.384 F
0.284 0.161 0.884 F
0.284 0.839 0.884 F


Record 2
Mn6O5F7 (PBE+U, relaxed); offset from the most stable computed form = 93 kJ/mol of formula units
1.0
5.062 0.000 0.000
0.442 5.560 0.000
1.715 1.177 15.005
Mn O F
12 10 14
direct
0.000 0.000 0.000 Mn
0.000 0.369 0.482 Mn
0.021 0.038 0.659 Mn
0.055 0.993 0.324 Mn
0.479 0.341 0.309 Mn
0.486 0.352 0.649 Mn
0.491 0.357 0.987 Mn
0.497 0.834 0.152 Mn
0.505 0.828 0.488 Mn
0.509 0.823 0.818 Mn
0.977 0.356 0.812 Mn
0.988 0.337 0.147 Mn
0.198 0.273 0.583 O
0.223 0.217 0.240 O
0.262 0.110 0.071 O
0.265 0.105 0.743 O
0.278 0.113 0.407 O
0.687 0.524 0.551 O
0.690 0.526 0.882 O
0.697 0.506 0.214 O
0.766 0.225 0.062 O
0.784 0.265 0.718 O
0.191 0.310 0.913 F
0.220 0.718 0.254 F
0.225 0.794 0.594 F
0.229 0.804 0.922 F
0.276 0.580 0.084 F
0.310 0.575 0.752 F
0.324 0.580 0.418 F
0.741 0.046 0.899 F
0.748 0.014 0.245 F
0.753 0.039 0.569 F
0.774 0.735 0.051 F
0.784 0.291 0.385 F
0.832 0.786 0.727 F
0.851 0.782 0.406 F


Record 3
Li3FeO3 (PBE+U, relaxed); offset from the most stable computed form = 22 kJ/mol of formula units
1.0
3.593 0.000 0.000
0.000 6.337 6.374
0.000 -6.337 6.374
Li Fe O
12 4 12
direct
0.000 0.000 0.000 Li
0.000 0.028 0.566 Li
0.000 0.311 0.768 Li
0.000 0.337 0.337 Li
0.000 0.566 0.028 Li
0.000 0.768 0.311 Li
0.500 0.074 0.810 Li
0.500 0.268 0.525 Li
0.500 0.494 0.837 Li
0.500 0.525 0.268 Li
0.500 0.810 0.074 Li
0.500 0.837 0.494 Li
0.000 0.551 0.551 Fe
0.000 0.785 0.785 Fe
0.500 0.054 0.283 Fe
0.500 0.283 0.054 Fe
0.000 0.345 0.555 O
0.000 0.555 0.345 O
0.000 0.562 0.767 O
0.000 0.767 0.562 O
0.000 0.778 0.994 O
0.000 0.994 0.778 O
0.500 0.056 0.488 O
0.500 0.067 0.067 O
0.500 0.268 0.268 O
0.500 0.280 0.849 O
0.500 0.488 0.056 O
0.500 0.849 0.280 O


Record 4
VASP calculation (PBE+U) on a relaxed BaYW4O7 crystal.

POSCAR file:
```
BaYW4O7
1.0
6.359 0.000 0.000
-3.180 5.507 0.000
0.000 0.000 11.505
Ba Y W O
2 2 8 14
direct
0.333 0.667 0.000 Ba
0.667 0.333 0.500 Ba
0.333 0.667 0.385 Y
0.667 0.333 0.885 Y
0.000 0.000 0.023 W
0.000 0.000 0.523 W
0.168 0.336 0.704 W
0.168 0.832 0.704 W
0.336 0.168 0.204 W
0.664 0.832 0.704 W
0.832 0.168 0.204 W
0.832 0.664 0.204 W
0.000 0.000 0.322 O
0.000 0.000 0.822 O
0.038 0.519 0.812 O
0.180 0.360 0.521 O
0.180 0.820 0.521 O
0.360 0.180 0.021 O
0.481 0.519 0.812 O
0.481 0.962 0.812 O
0.519 0.038 0.312 O
0.519 0.481 0.312 O
0.640 0.820 0.521 O
0.820 0.180 0.021 O
0.820 0.640 0.021 O
0.962 0.481 0.312 O
```


Record 5
VASP calculation (PBE+U) on a relaxed MnOF crystal.

POSCAR file:
```
MnOF
1.0
3.817 0.000 0.000
0.000 3.241 0.000
-0.017 0.000 13.272
Mn O F
4 4 4
direct
0.249 0.000 0.178 Mn
0.250 0.128 0.678 Mn
0.750 0.628 0.322 Mn
0.751 0.500 0.822 Mn
0.250 0.600 0.288 O
0.251 0.527 0.788 O
0.749 0.027 0.212 O
0.750 0.100 0.712 O
0.249 0.451 0.086 F
0.250 0.677 0.587 F
0.750 0.177 0.413 F
0.751 0.951 0.914 F
```


Record 6
VASP calculation (PBE+U) on a relaxed Ca9Si6W4O28 crystal.

POSCAR file:
```
Ca9Si6W4O28
1.0
7.517 0.000 0.000
2.968 9.692 0.000
3.173 -0.374 9.854
Ca Si W O
9 6 4 28
direct
0.000 0.000 0.000 Ca
0.112 0.338 0.089 Ca
0.207 0.350 0.460 Ca
0.299 0.662 0.555 Ca
0.338 0.613 0.920 Ca
0.662 0.387 0.080 Ca
0.701 0.338 0.445 Ca
0.793 0.650 0.540 Ca
0.888 0.662 0.911 Ca
0.158 0.631 0.258 Si
0.259 0.356 0.748 Si
0.415 0.837 0.146 Si
0.585 0.163 0.854 Si
0.741 0.644 0.252 Si
0.842 0.369 0.742 Si
0.112 0.077 0.387 W
0.494 0.141 0.216 W
0.506 0.859 0.784 W
0.888 0.923 0.613 W
0.049 0.268 0.317 O
0.067 0.782 0.954 O
0.082 0.307 0.720 O
0.153 0.892 0.495 O
0.158 0.578 0.410 O
0.174 0.470 0.872 O
0.242 0.768 0.224 O
0.278 0.515 0.136 O
0.327 0.004 0.182 O
0.356 0.097 0.406 O
0.375 0.407 0.603 O
0.395 0.215 0.800 O
0.454 0.707 0.708 O
0.485 0.797 0.983 O
0.515 0.203 0.017 O
0.546 0.293 0.292 O
0.605 0.785 0.200 O
0.625 0.593 0.397 O
0.644 0.903 0.594 O
0.673 0.996 0.818 O
0.722 0.485 0.864 O
0.758 0.232 0.776 O
0.826 0.530 0.128 O
0.842 0.422 0.590 O
0.847 0.108 0.505 O
0.918 0.693 0.280 O
0.933 0.218 0.046 O
0.951 0.732 0.683 O
```


Record 7
Li9Mn2Co5O16 (PBE+U, relaxed); offset from the most stable computed form = 139 kJ/mol of formula units
1.0
5.024 0.000 0.000
0.838 5.025 0.000
1.102 1.928 11.261
Li Mn Co O
9 2 5 16
direct
0.000 0.000 0.000 Li
0.001 0.509 0.519 Li
0.013 0.761 0.259 Li
0.018 0.250 0.770 Li
0.251 0.692 0.823 Li
0.505 0.381 0.646 Li
0.508 0.135 0.886 Li
0.510 0.884 0.131 Li
0.519 0.630 0.389 Li
0.259 0.939 0.578 Mn
0.264 0.200 0.327 Mn
0.261 0.454 0.066 Co
0.747 0.798 0.710 Co
0.758 0.566 0.948 Co
0.763 0.070 0.451 Co
0.767 0.334 0.195 Co
0.111 0.361 0.929 O
0.130 0.882 0.423 O
0.137 0.625 0.659 O
0.148 0.121 0.181 O
0.377 0.031 0.715 O
0.383 0.517 0.237 O
0.395 0.261 0.474 O
0.396 0.762 0.986 O
0.620 0.756 0.540 O
0.631 0.009 0.303 O
0.637 0.246 0.046 O
0.646 0.478 0.786 O
0.863 0.887 0.859 O
0.882 0.653 0.116 O
0.893 0.131 0.596 O
0.904 0.386 0.360 O


Record 8
VASP calculation (PBE+U) on a relaxed V3Bi6O16 crystal.

POSCAR file:
```
V3Bi6O16
1.0
5.581 0.000 0.000
0.000 17.477 0.000
0.000 0.000 15.236
V Bi O
12 24 64
direct
0.233 0.112 0.017 V
0.233 0.388 0.017 V
0.247 0.750 0.967 V
0.253 0.250 0.467 V
0.267 0.612 0.517 V
0.267 0.888 0.517 V
0.733 0.112 0.483 V
0.733 0.388 0.483 V
0.747 0.750 0.533 V
0.753 0.250 0.033 V
0.767 0.612 0.983 V
0.767 0.888 0.983 V
0.206 0.750 0.685 Bi
0.211 0.071 0.330 Bi
0.211 0.429 0.330 Bi
0.221 0.589 0.166 Bi
0.221 0.911 0.166 Bi
0.233 0.250 0.829 Bi
0.267 0.750 0.329 Bi
0.279 0.089 0.666 Bi
0.279 0.411 0.666 Bi
0.289 0.571 0.830 Bi
0.289 0.929 0.830 Bi
0.294 0.250 0.185 Bi
0.706 0.750 0.815 Bi
0.711 0.071 0.170 Bi
0.711 0.429 0.170 Bi
0.721 0.589 0.334 Bi
0.721 0.911 0.334 Bi
0.733 0.250 0.671 Bi
0.767 0.750 0.171 Bi
0.779 0.089 0.834 Bi
0.779 0.411 0.834 Bi
0.789 0.571 0.670 Bi
0.789 0.929 0.670 Bi
0.794 0.250 0.315 Bi
0.004 0.673 0.252 O
0.004 0.827 0.252 O
0.005 0.015 0.752 O
0.005 0.485 0.752 O
0.005 0.667 0.533 O
0.005 0.833 0.533 O
0.008 0.665 0.939 O
0.008 0.835 0.939 O
0.086 0.633 0.732 O
0.086 0.867 0.732 O
0.182 0.100 0.905 O
0.182 0.400 0.905 O
0.190 0.250 0.332 O
0.196 0.750 0.078 O
0.239 0.527 0.572 O
0.239 0.973 0.572 O
0.261 0.027 0.072 O
0.261 0.473 0.072 O
0.304 0.250 0.578 O
0.310 0.750 0.832 O
0.318 0.600 0.405 O
0.318 0.900 0.405 O
0.414 0.133 0.232 O
0.414 0.367 0.232 O
0.492 0.165 0.439 O
0.492 0.335 0.439 O
0.495 0.167 0.033 O
0.495 0.333 0.033 O
0.495 0.515 0.252 O
0.495 0.985 0.252 O
0.496 0.173 0.752 O
0.496 0.327 0.752 O
0.504 0.673 0.248 O
0.504 0.827 0.248 O
0.505 0.015 0.748 O
0.505 0.485 0.748 O
0.505 0.667 0.967 O
0.505 0.833 0.967 O
0.508 0.665 0.561 O
0.508 0.835 0.561 O
0.586 0.633 0.768 O
0.586 0.867 0.768 O
0.682 0.100 0.595 O
0.682 0.400 0.595 O
0.690 0.250 0.168 O
0.696 0.750 0.422 O
0.739 0.527 0.928 O
0.739 0.973 0.928 O
0.761 0.027 0.428 O
0.761 0.473 0.428 O
0.804 0.250 0.922 O
0.810 0.750 0.668 O
0.818 0.600 0.095 O
0.818 0.900 0.095 O
0.914 0.133 0.268 O
0.914 0.367 0.268 O
0.992 0.165 0.061 O
0.992 0.335 0.061 O
0.995 0.167 0.467 O
0.995 0.333 0.467 O
0.995 0.515 0.248 O
0.995 0.985 0.248 O
0.996 0.173 0.748 O
0.996 0.327 0.748 O
```


Record 9
Pr2MgNi2O6 (PBE+U, relaxed); offset from the most stable computed form = 0 kJ/mol of formula units
1.0
5.245 0.000 0.000
-0.793 5.457 0.000
-1.640 -2.324 4.989
Pr Mg Ni O
2 1 2 6
direct
0.000 0.000 0.000 Pr
0.378 0.486 0.771 Pr
0.684 0.740 0.389 Mg
0.185 0.749 0.393 Ni
0.688 0.241 0.392 Ni
0.382 0.396 0.282 O
0.412 0.886 0.193 O
0.540 0.888 0.716 O
0.832 0.606 0.067 O
0.960 0.598 0.587 O
0.993 0.089 0.516 O


Record 10
ZnFe2O4 (PBE+U, relaxed); offset from the most stable computed form = 35 kJ/mol of formula units
1.0
-3.001 3.007 4.291
3.001 -3.007 4.291
3.001 3.007 -4.291
Zn Fe O
2 4 8
direct
0.500 0.000 0.000 Zn
0.500 0.500 0.500 Zn
0.000 0.000 0.000 Fe
0.119 0.369 0.750 Fe
0.500 0.000 0.500 Fe
0.881 0.631 0.250 Fe
0.242 0.237 0.006 O
0.248 0.233 0.485 O
0.248 0.763 0.015 O
0.269 0.763 0.506 O
0.731 0.237 0.494 O
0.752 0.237 0.985 O
0.752 0.767 0.515 O
0.758 0.763 0.994 O


Record 11
Li2VPCO7 (PBE+U, relaxed); offset from the most stable computed form = 0 kJ/mol of formula units
1.0
5.088 0.000 0.000
0.000 6.451 0.000
-0.895 0.000 8.367
Li V P C O
4 2 2 2 14
direct
0.213 0.000 0.101 Li
0.270 0.287 0.723 Li
0.730 0.787 0.277 Li
0.787 0.500 0.899 Li
0.201 0.488 0.324 V
0.799 0.988 0.676 V
0.269 0.992 0.417 P
0.731 0.492 0.583 P
0.320 0.497 0.045 C
0.680 0.997 0.955 C
0.071 0.485 0.072 O
0.138 0.013 0.572 O
0.155 0.809 0.310 O
0.211 0.182 0.304 O
0.401 0.470 0.909 O
0.429 0.461 0.543 O
0.483 0.533 0.175 O
0.517 0.033 0.825 O
0.571 0.961 0.457 O
0.599 0.970 0.091 O
0.789 0.682 0.696 O
0.845 0.309 0.690 O
0.862 0.513 0.428 O
0.929 0.985 0.928 O


Energy of formation from the pure elements, record by record: -42.5, -43.0, -13.6, -18.3, -7.0, -133.8, -58.2, -50.0, -26.6, -11.8, -29.7 eV per formula unit
Magnetization, record by record: 24.000, 50.004, 12.000, 1.079, 0.000, 9.999, 6.000, 4.088, 2.000, 0.000, 0.006 μB per cell